Entry 1:
Dy5Ni2Bi: relaxed, PBE-GGA.

a = 8.690 Å, b = 8.690 Å, c = 8.690 Å
α = 127.68°, β = 127.68°, γ = 77.15°
Sites, in units of the cell vectors:
Ni (0.131, 0.631, 0.762)
Ni (0.369, 0.131, 0.500)
Ni (0.631, 0.869, 0.500)
Ni (0.869, 0.369, 0.238)
Bi (0.750, 0.750, 0.000)
Bi (0.250, 0.250, 0.000)
Dy (0.977, 0.791, 0.500)
Dy (0.523, 0.023, 0.814)
Dy (0.500, 0.500, 0.000)
Dy (0.791, 0.291, 0.814)
Dy (0.291, 0.477, 0.500)
Dy (0.000, 0.000, 0.000)
Dy (0.709, 0.523, 0.500)
Dy (0.023, 0.209, 0.500)
Dy (0.209, 0.709, 0.186)
Dy (0.477, 0.977, 0.186)

Values from the calculation:
SG: I4/mcm (140)
Crystal system: tetragonal
Spin magnetization: 0.000 μB per atom

Entry 2:
KCd3H8Cl7O4: relaxed, PBE-GGA.

a = 16.255 Å, b = 6.791 Å, c = 7.255 Å
α = 87.95°, β = 90.00°, γ = 90.00°
Sites, in units of the cell vectors:
Cl (0.750, 0.385, 0.853)
Cl (0.359, 0.177, 0.973)
Cl (0.047, 0.811, 0.318)
Cl (0.859, 0.823, 0.027)
Cl (0.547, 0.189, 0.682)
Cl (0.554, 0.326, 0.165)
Cl (0.141, 0.177, 0.973)
Cl (0.054, 0.674, 0.835)
Cl (0.250, 0.615, 0.147)
Cl (0.446, 0.674, 0.835)
Cl (0.946, 0.326, 0.165)
Cl (0.953, 0.189, 0.682)
Cl (0.453, 0.811, 0.318)
Cl (0.641, 0.823, 0.027)
Cd (0.404, 0.492, 0.162)
Cd (0.096, 0.492, 0.162)
Cd (0.000, 0.000, 0.000)
Cd (0.904, 0.508, 0.838)
Cd (0.500, 0.000, 0.000)
Cd (0.596, 0.508, 0.838)
H (0.663, 0.619, 0.474)
H (0.297, 0.910, 0.758)
H (0.076, 0.272, 0.511)
H (0.703, 0.090, 0.242)
H (0.924, 0.728, 0.489)
H (0.203, 0.910, 0.758)
H (0.797, 0.090, 0.242)
H (0.837, 0.619, 0.474)
H (0.750, 0.387, 0.338)
H (0.424, 0.272, 0.511)
H (0.750, 0.594, 0.233)
H (0.576, 0.728, 0.489)
H (0.337, 0.381, 0.526)
H (0.250, 0.406, 0.767)
H (0.163, 0.381, 0.526)
H (0.250, 0.613, 0.662)
K (0.250, 0.028, 0.323)
K (0.750, 0.972, 0.677)
O (0.250, 0.871, 0.684)
O (0.250, 0.468, 0.643)
O (0.126, 0.310, 0.441)
O (0.750, 0.129, 0.316)
O (0.874, 0.690, 0.559)
O (0.750, 0.532, 0.357)
O (0.374, 0.310, 0.441)
O (0.626, 0.690, 0.559)

Values from the calculation:
SG: P2_1/m (11)
Crystal system: monoclinic
Spin magnetization: 0.000 μB per atom

Entry 3:
Cs3SbH2S4O: relaxed, PBE-GGA.

a = 10.206 Å, b = 10.027 Å, c = 16.327 Å
α = 53.77°, β = 90.00°, γ = 90.00°
Sites, in units of the cell vectors:
O (0.351, 0.774, 0.904)
O (0.649, 0.226, 0.096)
O (0.149, 0.774, 0.404)
O (0.851, 0.226, 0.596)
H (0.598, 0.186, 0.158)
H (0.344, 0.871, 0.907)
H (0.098, 0.814, 0.342)
H (0.402, 0.814, 0.842)
H (0.156, 0.871, 0.407)
H (0.656, 0.129, 0.093)
H (0.844, 0.129, 0.593)
H (0.902, 0.186, 0.658)
Sb (0.792, 0.752, 0.225)
Sb (0.708, 0.752, 0.725)
Sb (0.292, 0.248, 0.275)
Sb (0.208, 0.248, 0.775)
S (0.331, 0.072, 0.926)
S (0.173, 0.504, 0.748)
S (0.183, 0.284, 0.136)
S (0.317, 0.284, 0.636)
S (0.502, 0.880, 0.700)
S (0.683, 0.716, 0.364)
S (0.002, 0.120, 0.800)
S (0.669, 0.928, 0.074)
S (0.998, 0.880, 0.200)
S (0.673, 0.496, 0.752)
S (0.831, 0.928, 0.574)
S (0.827, 0.496, 0.252)
S (0.327, 0.504, 0.248)
S (0.817, 0.716, 0.864)
S (0.498, 0.120, 0.300)
S (0.169, 0.072, 0.426)
Cs (0.422, 0.716, 0.547)
Cs (0.369, 0.899, 0.203)
Cs (0.922, 0.284, 0.953)
Cs (0.869, 0.101, 0.297)
Cs (0.584, 0.577, 0.079)
Cs (0.416, 0.423, 0.921)
Cs (0.631, 0.101, 0.797)
Cs (0.078, 0.716, 0.047)
Cs (0.578, 0.284, 0.453)
Cs (0.916, 0.577, 0.579)
Cs (0.084, 0.423, 0.421)
Cs (0.131, 0.899, 0.703)

Values from the calculation:
SG: P2_1/c (14)
Crystal system: monoclinic
Spin magnetization: 0.000 μB per atom

Entry 4:
Li2HoPCO7: relaxed, PBE-GGA.

a = 6.775 Å, b = 4.922 Å, c = 8.989 Å
α = 87.23°, β = 90.00°, γ = 90.00°
Sites, in units of the cell vectors:
C (0.250, 0.261, 0.943)
C (0.750, 0.739, 0.057)
O (0.435, 0.854, 0.337)
O (0.750, 0.721, 0.917)
O (0.750, 0.591, 0.603)
O (0.750, 0.973, 0.121)
O (0.250, 0.027, 0.879)
O (0.250, 0.409, 0.397)
O (0.250, 0.479, 0.851)
O (0.935, 0.146, 0.663)
O (0.750, 0.236, 0.417)
O (0.250, 0.764, 0.583)
O (0.565, 0.146, 0.663)
O (0.750, 0.521, 0.149)
O (0.250, 0.279, 0.083)
O (0.065, 0.854, 0.337)
Ho (0.250, 0.254, 0.640)
Ho (0.750, 0.746, 0.360)
Li (0.016, 0.208, 0.206)
Li (0.484, 0.208, 0.206)
Li (0.516, 0.792, 0.794)
Li (0.984, 0.792, 0.794)
P (0.750, 0.277, 0.590)
P (0.250, 0.723, 0.410)

Values from the calculation:
SG: P2_1/m (11)
Crystal system: monoclinic
Spin magnetization: 0.000 μB per atom

Entry 5:
MgSi2: relaxed, PBE-GGA.

a = 3.687 Å, b = 7.530 Å, c = 8.388 Å
α = 102.56°, β = 94.86°, γ = 91.34°
Sites, in units of the cell vectors:
Si (0.033, 0.699, 0.797)
Si (0.970, 0.656, 0.266)
Si (0.574, 0.643, 0.973)
Si (0.466, 0.850, 0.221)
Si (0.042, 0.390, 0.623)
Si (0.879, 0.350, 0.329)
Si (0.342, 0.169, 0.209)
Si (0.555, 0.221, 0.699)
Mg (0.506, 0.665, 0.525)
Mg (0.010, 0.007, 0.482)
Mg (0.557, 0.989, 0.903)
Mg (0.082, 0.360, 0.974)

Values from the calculation:
SG: P1 (1)
Crystal system: triclinic
Spin magnetization: 0.000 μB per atom
Excess energy over the best structure of this formula in the dataset: 0.105 eV/atom

Entry 6:
Ho2SO2: relaxed, PBE-GGA.

a = 3.777 Å, b = 3.777 Å, c = 13.318 Å
α = 90.00°, β = 90.00°, γ = 120.00°
Sites, in units of the cell vectors:
S (0.000, 0.000, 0.250)
S (0.000, 0.000, 0.750)
Ho (0.333, 0.667, 0.608)
Ho (0.667, 0.333, 0.108)
Ho (0.333, 0.667, 0.892)
Ho (0.667, 0.333, 0.392)
O (0.667, 0.333, 0.565)
O (0.333, 0.667, 0.065)
O (0.333, 0.667, 0.435)
O (0.667, 0.333, 0.935)

Values from the calculation:
SG: P6_3/mmc (194)
Crystal system: hexagonal

Entry 7:
MgPC2O6: relaxed, PBE-GGA.

a = 8.390 Å, b = 10.488 Å, c = 12.195 Å
α = 90.00°, β = 90.00°, γ = 90.00°
Sites, in units of the cell vectors:
O (0.669, 0.489, 0.345)
O (0.585, 0.885, 0.517)
O (0.669, 0.011, 0.845)
O (0.915, 0.115, 0.017)
O (0.378, 0.616, 0.424)
O (0.731, 0.670, 0.539)
O (0.915, 0.385, 0.517)
O (0.122, 0.384, 0.924)
O (0.735, 0.232, 0.294)
O (0.265, 0.732, 0.206)
O (0.085, 0.885, 0.983)
O (0.415, 0.385, 0.983)
O (0.169, 0.489, 0.155)
O (0.085, 0.615, 0.483)
O (0.415, 0.115, 0.483)
O (0.486, 0.504, 0.207)
O (0.378, 0.884, 0.924)
O (0.735, 0.268, 0.794)
O (0.269, 0.330, 0.461)
O (0.622, 0.384, 0.576)
O (0.486, 0.996, 0.707)
O (0.765, 0.732, 0.294)
O (0.514, 0.004, 0.293)
O (0.014, 0.496, 0.707)
O (0.231, 0.830, 0.461)
O (0.986, 0.504, 0.293)
O (0.986, 0.996, 0.793)
O (0.231, 0.670, 0.961)
O (0.235, 0.268, 0.706)
O (0.769, 0.170, 0.539)
O (0.122, 0.116, 0.424)
O (0.331, 0.511, 0.655)
O (0.878, 0.616, 0.076)
O (0.831, 0.989, 0.345)
O (0.731, 0.830, 0.039)
O (0.622, 0.116, 0.076)
O (0.331, 0.989, 0.155)
O (0.235, 0.232, 0.206)
O (0.585, 0.615, 0.017)
O (0.514, 0.496, 0.793)
O (0.269, 0.170, 0.961)
O (0.878, 0.884, 0.576)
O (0.265, 0.768, 0.706)
O (0.169, 0.011, 0.655)
O (0.831, 0.511, 0.845)
O (0.014, 0.004, 0.207)
O (0.769, 0.330, 0.039)
O (0.765, 0.768, 0.794)
C (0.900, 0.466, 0.765)
C (0.195, 0.673, 0.275)
C (0.900, 0.034, 0.265)
C (0.305, 0.327, 0.775)
C (0.195, 0.827, 0.775)
C (0.100, 0.966, 0.735)
C (0.600, 0.534, 0.265)
C (0.805, 0.327, 0.725)
C (0.600, 0.966, 0.765)
C (0.400, 0.034, 0.235)
C (0.805, 0.173, 0.225)
C (0.695, 0.673, 0.225)
C (0.100, 0.534, 0.235)
C (0.695, 0.827, 0.725)
C (0.400, 0.466, 0.735)
C (0.305, 0.173, 0.275)
P (0.227, 0.691, 0.433)
P (0.773, 0.309, 0.567)
P (0.773, 0.191, 0.067)
P (0.727, 0.691, 0.067)
P (0.273, 0.309, 0.933)
P (0.227, 0.809, 0.933)
P (0.273, 0.191, 0.433)
P (0.727, 0.809, 0.567)
Mg (0.645, 0.445, 0.940)
Mg (0.855, 0.555, 0.440)
Mg (0.355, 0.945, 0.560)
Mg (0.855, 0.945, 0.940)
Mg (0.355, 0.555, 0.060)
Mg (0.145, 0.055, 0.060)
Mg (0.145, 0.445, 0.560)
Mg (0.645, 0.055, 0.440)

Values from the calculation:
SG: Pbca (61)
Crystal system: orthorhombic
Spin magnetization: 0.100 μB per atom

Entry 8:
KZnP2H5O9: relaxed, PBE-GGA.

a = 6.651 Å, b = 7.805 Å, c = 15.704 Å
α = 90.00°, β = 90.00°, γ = 90.00°
Sites, in units of the cell vectors:
Zn (0.437, 0.751, 0.304)
Zn (0.937, 0.251, 0.196)
Zn (0.563, 0.251, 0.696)
Zn (0.063, 0.751, 0.804)
O (0.818, 0.057, 0.116)
O (0.957, 0.475, 0.422)
O (0.812, 0.440, 0.116)
O (0.569, 0.556, 0.229)
O (0.931, 0.556, 0.729)
O (0.815, 0.252, 0.783)
O (0.224, 0.249, 0.386)
O (0.073, 0.443, 0.270)
O (0.069, 0.056, 0.271)
O (0.685, 0.252, 0.283)
O (0.044, 0.527, 0.574)
O (0.182, 0.557, 0.884)
O (0.573, 0.943, 0.230)
O (0.318, 0.557, 0.384)
O (0.312, 0.940, 0.384)
O (0.682, 0.057, 0.616)
O (0.927, 0.943, 0.730)
O (0.688, 0.440, 0.616)
O (0.818, 0.753, 0.894)
O (0.544, 0.027, 0.926)
O (0.682, 0.753, 0.394)
O (0.188, 0.940, 0.884)
O (0.182, 0.253, 0.106)
O (0.315, 0.752, 0.717)
O (0.318, 0.253, 0.606)
O (0.431, 0.056, 0.771)
O (0.043, 0.975, 0.578)
O (0.724, 0.749, 0.114)
O (0.185, 0.752, 0.217)
O (0.776, 0.749, 0.614)
O (0.456, 0.527, 0.074)
O (0.956, 0.027, 0.426)
O (0.457, 0.975, 0.078)
O (0.543, 0.475, 0.922)
O (0.427, 0.443, 0.770)
O (0.276, 0.249, 0.886)
K (0.624, 0.247, 0.465)
K (0.876, 0.247, 0.965)
K (0.124, 0.747, 0.035)
K (0.376, 0.747, 0.535)
P (0.855, 0.939, 0.638)
P (0.634, 0.556, 0.135)
P (0.145, 0.439, 0.362)
P (0.366, 0.056, 0.865)
P (0.134, 0.056, 0.365)
P (0.355, 0.439, 0.862)
P (0.866, 0.556, 0.635)
P (0.645, 0.939, 0.138)
H (0.771, 0.651, 0.393)
H (0.271, 0.151, 0.107)
H (0.226, 0.353, 0.605)
H (0.890, 0.146, 0.767)
H (0.110, 0.646, 0.233)
H (0.111, 0.857, 0.235)
H (0.611, 0.357, 0.265)
H (0.495, 0.998, 0.012)
H (0.005, 0.998, 0.512)
H (0.774, 0.853, 0.395)
H (0.229, 0.151, 0.607)
H (0.729, 0.651, 0.893)
H (0.889, 0.357, 0.765)
H (0.995, 0.498, 0.488)
H (0.389, 0.857, 0.735)
H (0.505, 0.498, 0.988)
H (0.610, 0.146, 0.267)
H (0.726, 0.853, 0.895)
H (0.390, 0.646, 0.733)
H (0.274, 0.353, 0.105)

Values from the calculation:
SG: Pna2_1 (33)
Crystal system: orthorhombic
Spin magnetization: 0.000 μB per atom
Excess energy over the best structure of this formula in the dataset: 0.011 eV/atom

Entry 9:
CrN2: relaxed, PBE-GGA.

a = 5.489 Å, b = 5.489 Å, c = 9.458 Å
α = 67.78°, β = 67.78°, γ = 56.10°
Sites, in units of the cell vectors:
N (0.428, 0.178, 0.196)
N (0.178, 0.428, 0.696)
N (0.973, 0.027, 0.250)
N (0.000, 0.500, 0.000)
N (0.822, 0.572, 0.304)
N (0.027, 0.973, 0.750)
N (0.500, 0.000, 0.500)
N (0.572, 0.822, 0.804)
Cr (0.317, 0.057, 0.687)
Cr (0.057, 0.317, 0.187)
Cr (0.683, 0.943, 0.313)
Cr (0.943, 0.683, 0.813)

Values from the calculation:
SG: C2/c (15)
Crystal system: monoclinic
Spin magnetization: 0.000 μB per atom

Entry 10:
TlAuO2: relaxed, PBE-GGA.

a = 3.540 Å, b = 3.540 Å, c = 12.665 Å
α = 90.00°, β = 90.00°, γ = 120.00°
Sites, in units of the cell vectors:
Au (0.667, 0.333, 0.750)
Au (0.333, 0.667, 0.250)
Tl (0.000, 0.000, 0.000)
Tl (0.000, 0.000, 0.500)
O (0.333, 0.667, 0.412)
O (0.667, 0.333, 0.588)
O (0.333, 0.667, 0.088)
O (0.667, 0.333, 0.912)

Values from the calculation:
SG: P6_3/mmc (194)
Crystal system: hexagonal

Entry 11:
La3FeNiS7: relaxed, PBE-GGA.

a = 10.208 Å, b = 10.208 Å, c = 5.899 Å
α = 90.00°, β = 90.00°, γ = 120.00°
Sites, in units of the cell vectors:
La (0.372, 0.141, 0.749)
La (0.231, 0.372, 0.249)
La (0.628, 0.859, 0.249)
La (0.859, 0.231, 0.749)
La (0.769, 0.628, 0.749)
La (0.141, 0.769, 0.249)
S (0.778, 0.916, 0.721)
S (0.484, 0.582, 0.971)
S (0.098, 0.516, 0.971)
S (0.916, 0.138, 0.221)
S (0.138, 0.222, 0.721)
S (0.418, 0.902, 0.971)
S (0.667, 0.333, 0.961)
S (0.222, 0.084, 0.221)
S (0.084, 0.862, 0.721)
S (0.582, 0.098, 0.471)
S (0.902, 0.484, 0.471)
S (0.862, 0.778, 0.221)
S (0.333, 0.667, 0.461)
S (0.516, 0.418, 0.471)
Ni (0.000, 0.000, 0.472)
Ni (0.000, 0.000, 0.972)
Fe (0.667, 0.333, 0.334)
Fe (0.333, 0.667, 0.834)

Values from the calculation:
SG: P6_3 (173)
Crystal system: hexagonal
Spin magnetization: 0.583 μB per atom

DFT formation energy for every record listed, in sequence, given in meV/atom: -455, -1254, -1192, -2782, 183, -3590, -1885, -2031, -75, -772, -1741.
E_tot for every record listed, in sequence, given in eV for the cell shown: -84.2, -179.7, -182.0, -172.5, -48.2, -78.5, -559.1, -420.3, -103.3, -34.5, -150.8.